No. 1
Entry from Materials Project: a relaxed structure of Cr (PBE).

Cell: 2.700 2.700 4.237 Å, 90.00 90.00 130.18°
Element x y z (fractional)
Cr (0.139, 0.861, 0.750)
Cr (0.861, 0.139, 0.250)

Calculated values
Energy ... -9.32 eV per atom
Calculated volume ... 11.8 Å³/f.u.
Energy above the most stable polymorph in this dataset ... 335.9 meV/atom
Formation energy from the elements ... 0.336 eV per atom
SG ... Cmcm (63)

***

No. 2
Entry from Materials Project: a relaxed structure of Cr (PBE).

Cell: 2.874 2.874 2.874 Å, 90.01 89.99 89.99°
Element x y z (fractional)
Cr (0.500, 0.500, 0.500)
Cr (0.000, 0.000, 0.000)

Calculated values
Energy ... -9.65 eV per atom
Calculated volume ... 11.9 Å³/f.u.
Energy above the most stable polymorph in this dataset ... 0.0 meV/atom
Formation energy from the elements ... 0.000 eV per atom

***

No. 3
Entry from Materials Project: a relaxed structure of Cr (PBE).

Cell: 2.491 2.491 4.450 Å, 90.00 90.00 120.00°
Element x y z (fractional)
Cr (0.333, 0.667, 0.250)
Cr (0.667, 0.333, 0.750)

Calculated values
Energy ... -9.23 eV per atom
Calculated volume ... 12.0 Å³/f.u.
Energy above the most stable polymorph in this dataset ... 420.3 meV/atom
Formation energy from the elements ... 0.420 eV per atom
SG ... P6_3/mmc (194)

***

No. 4
Entry from Materials Project: a relaxed structure of Cr (PBE).

Cell: 8.599 8.599 4.556 Å, 90.00 90.00 90.00°
Element x y z (fractional)
Cr (0.035, 0.374, 0.000)
Cr (0.055, 0.244, 0.500)
Cr (0.103, 0.103, 0.000)
Cr (0.126, 0.535, 0.500)
Cr (0.187, 0.813, 0.246)
Cr (0.187, 0.813, 0.754)
Cr (0.244, 0.055, 0.500)
Cr (0.256, 0.555, 0.000)
Cr (0.313, 0.313, 0.254)
Cr (0.313, 0.313, 0.746)
Cr (0.374, 0.035, 0.000)
Cr (0.397, 0.603, 0.500)
Cr (0.445, 0.744, 0.000)
Cr (0.465, 0.874, 0.500)
Cr (0.535, 0.126, 0.500)
Cr (0.555, 0.256, 0.000)
Cr (0.603, 0.397, 0.500)
Cr (0.626, 0.965, 0.000)
Cr (0.687, 0.687, 0.254)
Cr (0.687, 0.687, 0.746)
Cr (0.744, 0.445, 0.000)
Cr (0.756, 0.945, 0.500)
Cr (0.813, 0.187, 0.246)
Cr (0.813, 0.187, 0.754)
Cr (0.874, 0.465, 0.500)
Cr (0.897, 0.897, 0.000)
Cr (0.945, 0.756, 0.500)
Cr (0.965, 0.626, 0.000)

Calculated values
Energy ... -9.39 eV per atom
Calculated volume ... 12.0 Å³/f.u.
Energy above the most stable polymorph in this dataset ... 263.6 meV/atom
Formation energy from the elements ... 0.264 eV per atom
SG ... P4_2/mnm (136)

***

No. 5
Entry from Materials Project: a relaxed structure of CsCrI3 (PBE).

Cell: 8.259 8.259 6.920 Å, 90.00 90.00 120.00°
Element x y z (fractional)
Cs (0.333, 0.667, 0.250)
Cs (0.667, 0.333, 0.750)
Cr (0.000, 0.000, 0.000)
Cr (0.000, 0.000, 0.500)
I (0.161, 0.321, 0.750)
I (0.161, 0.839, 0.750)
I (0.321, 0.161, 0.250)
I (0.679, 0.839, 0.750)
I (0.839, 0.161, 0.250)
I (0.839, 0.679, 0.250)

Calculated values
Energy ... -3.83 eV per atom
Calculated volume ... 204.4 Å³/f.u.
Energy above the most stable polymorph in this dataset ... 2.6 meV/atom
Formation energy from the elements ... -1.035 eV per atom
SG ... P6_3/mmc (194)

***

No. 6
Entry from Materials Project: a relaxed structure of CsCrI3 (PBE).

Cell: 11.019 16.495 6.826 Å, 90.00 90.00 90.00°
Element x y z (fractional)
Cs (0.000, 0.125, 0.250)
Cs (0.000, 0.875, 0.750)
Cs (0.500, 0.375, 0.750)
Cs (0.500, 0.625, 0.250)
Cr (0.000, 0.500, 0.000)
Cr (0.000, 0.500, 0.500)
Cr (0.500, 0.000, 0.000)
Cr (0.500, 0.000, 0.500)
I (0.000, 0.376, 0.250)
I (0.000, 0.624, 0.750)
I (0.158, 0.090, 0.749)
I (0.158, 0.910, 0.249)
I (0.342, 0.410, 0.249)
I (0.342, 0.590, 0.749)
I (0.500, 0.124, 0.750)
I (0.500, 0.876, 0.250)
I (0.658, 0.410, 0.251)
I (0.658, 0.590, 0.751)
I (0.842, 0.090, 0.751)
I (0.842, 0.910, 0.251)

Calculated values
Energy ... -3.34 eV per atom
Calculated volume ... 310.2 Å³/f.u.
Energy above the most stable polymorph in this dataset ... 496.7 meV/atom
Formation energy from the elements ... -0.541 eV per atom
SG ... Pbcn (60)

***

No. 7
Entry from Materials Project: a relaxed structure of CsCrI3 (PBE).

Cell: 8.288 14.112 7.045 Å, 90.00 90.00 90.00°
Element x y z (fractional)
Cs (0.000, 0.166, 0.250)
Cs (0.000, 0.834, 0.750)
Cs (0.500, 0.334, 0.750)
Cs (0.500, 0.666, 0.250)
Cr (0.000, 0.500, 0.000)
Cr (0.000, 0.500, 0.500)
Cr (0.500, 0.000, 0.000)
Cr (0.500, 0.000, 0.500)
I (0.000, 0.344, 0.750)
I (0.000, 0.656, 0.250)
I (0.244, 0.417, 0.215)
I (0.244, 0.583, 0.715)
I (0.256, 0.083, 0.715)
I (0.256, 0.917, 0.215)
I (0.500, 0.156, 0.250)
I (0.500, 0.844, 0.750)
I (0.744, 0.083, 0.785)
I (0.744, 0.917, 0.285)
I (0.756, 0.417, 0.285)
I (0.756, 0.583, 0.785)

Calculated values
Energy ... -3.83 eV per atom
Calculated volume ... 206.0 Å³/f.u.
Energy above the most stable polymorph in this dataset ... 0.0 meV/atom
Formation energy from the elements ... -1.037 eV per atom
SG ... Pbcn (60)

***

No. 8
Entry from Materials Project: a relaxed structure of CsCrP2S7 (PBE).

Cell: 6.541 6.541 7.063 Å, 94.79 94.79 96.74°
Element x y z (fractional)
Cs (0.000, 0.000, 0.000)
Cr (0.591, 0.409, 0.500)
P (0.044, 0.555, 0.427)
P (0.445, 0.956, 0.573)
S (0.115, 0.885, 0.500)
S (0.277, 0.444, 0.295)
S (0.462, 0.218, 0.756)
S (0.556, 0.723, 0.705)
S (0.579, 0.061, 0.344)
S (0.782, 0.538, 0.244)
S (0.939, 0.421, 0.656)

Calculated values
Energy ... -5.15 eV per atom
Maximum piezoelectric response ... 0.37 C/m²
Calculated volume ... 297.8 Å³/f.u.
Formation energy from the elements ... -0.893 eV per atom
SG ... C2 (5)

***

No. 9
Entry from Materials Project: a relaxed structure of CsCr5S8 (PBE).

Cell: 9.351 9.351 8.917 Å, 102.76 102.76 21.65°
Element x y z (fractional)
Cs (0.000, 0.000, 0.000)
Cr (0.000, 0.000, 0.500)
Cr (0.295, 0.295, 0.165)
Cr (0.338, 0.338, 0.513)
Cr (0.662, 0.662, 0.487)
Cr (0.705, 0.705, 0.835)
S (0.094, 0.094, 0.352)
S (0.178, 0.178, 0.989)
S (0.239, 0.239, 0.657)
S (0.425, 0.425, 0.348)
S (0.575, 0.575, 0.652)
S (0.761, 0.761, 0.343)
S (0.822, 0.822, 0.011)
S (0.906, 0.906, 0.648)

Calculated values
Energy ... -6.64 eV per atom
Calculated volume ... 280.3 Å³/f.u.
Energy above the most stable polymorph in this dataset ... 40.2 meV/atom
Formation energy from the elements ... -1.048 eV per atom
SG ... C2/m (12)

***

No. 10
Entry from Materials Project: a relaxed structure of CsCr2S4 (PBE).

Cell: 8.495 8.495 5.852 Å, 102.93 102.93 24.35°
Element x y z (fractional)
Cs (0.000, 0.000, 0.000)
Cr (0.254, 0.254, 0.271)
Cr (0.746, 0.746, 0.729)
S (0.163, 0.163, 0.527)
S (0.324, 0.324, 0.955)
S (0.676, 0.676, 0.045)
S (0.837, 0.837, 0.473)

Calculated values
Energy ... -6.05 eV per atom
Calculated volume ... 169.5 Å³/f.u.
Energy above the most stable polymorph in this dataset ... 27.8 meV/atom
Formation energy from the elements ... -1.093 eV per atom
SG ... C2/m (12)

***

No. 11
Entry from Materials Project: a relaxed structure of CsCr2S4 (PBE).

Cell: 6.996 16.714 5.982 Å, 90.00 90.00 90.00°
Element x y z (fractional)
Cs (0.250, 0.250, 0.040)
Cs (0.250, 0.750, 0.344)
Cs (0.750, 0.250, 0.656)
Cs (0.750, 0.750, 0.960)
Cr (0.000, 0.000, 0.500)
Cr (0.000, 0.500, 0.500)
Cr (0.250, 0.501, 0.994)
Cr (0.250, 0.999, 0.994)
Cr (0.500, 0.000, 0.500)
Cr (0.500, 0.500, 0.500)
Cr (0.750, 0.001, 0.006)
Cr (0.750, 0.499, 0.006)
S (0.001, 0.078, 0.832)
S (0.001, 0.422, 0.832)
S (0.250, 0.077, 0.339)
S (0.250, 0.423, 0.339)
S (0.250, 0.578, 0.670)
S (0.250, 0.922, 0.670)
S (0.499, 0.078, 0.832)
S (0.499, 0.422, 0.832)
S (0.501, 0.578, 0.168)
S (0.501, 0.922, 0.168)
S (0.750, 0.078, 0.330)
S (0.750, 0.422, 0.330)
S (0.750, 0.577, 0.661)
S (0.750, 0.923, 0.661)
S (0.999, 0.578, 0.168)
S (0.999, 0.922, 0.168)

Calculated values
Energy ... -6.08 eV per atom
Calculated volume ... 174.9 Å³/f.u.
Energy above the most stable polymorph in this dataset ... 0.0 meV/atom
Formation energy from the elements ... -1.120 eV per atom
SG ... Pmmn (59)

***

No. 12
Entry from Materials Project: a relaxed structure of CsCr2S4 (PBE).

Cell: 12.069 3.595 13.288 Å, 90.00 90.00 90.00°
Element x y z (fractional)
Cs (0.243, 0.250, 0.163)
Cs (0.257, 0.750, 0.663)
Cs (0.743, 0.250, 0.337)
Cs (0.757, 0.750, 0.837)
Cr (0.069, 0.250, 0.896)
Cr (0.072, 0.250, 0.399)
Cr (0.428, 0.750, 0.899)
Cr (0.431, 0.750, 0.396)
Cr (0.569, 0.250, 0.604)
Cr (0.572, 0.250, 0.101)
Cr (0.928, 0.750, 0.601)
Cr (0.931, 0.750, 0.104)
S (0.021, 0.750, 0.785)
S (0.054, 0.250, 0.575)
S (0.099, 0.750, 0.009)
S (0.204, 0.750, 0.377)
S (0.296, 0.250, 0.877)
S (0.401, 0.250, 0.509)
S (0.446, 0.750, 0.075)
S (0.479, 0.250, 0.285)
S (0.521, 0.750, 0.715)
S (0.554, 0.250, 0.925)
S (0.599, 0.750, 0.491)
S (0.704, 0.750, 0.123)
S (0.796, 0.250, 0.623)
S (0.901, 0.250, 0.991)
S (0.946, 0.750, 0.425)
S (0.979, 0.250, 0.215)

Calculated values
Energy ... -5.91 eV per atom
Calculated volume ... 144.1 Å³/f.u.
Energy above the most stable polymorph in this dataset ... 168.1 meV/atom
Formation energy from the elements ... -0.952 eV per atom
SG ... Pnma (62)